Record 1
Density functional theory data (GGA-PBE) for a relaxed Na10Hf2Mg6Si3S9O48 crystal.

The structure in CIF format:
```
data_Na10Hf2Mg6Si3S9O48
_symmetry_space_group_name_H-M 'P 1'
_symmetry_Int_Tables_number 1
_symmetry_space_group_name_Hall 'P 1'
_cell_length_a 17.882
_cell_length_b 8.963
_cell_length_c 22.517
_cell_angle_alpha 90.07
_cell_angle_beta 89.94
_cell_angle_gamma 119.93
loop_
_atom_site_label
_atom_site_type_symbol
_atom_site_fract_x
_atom_site_fract_y
_atom_site_fract_z
Na1 Na 0.317 0.001 0.246
Na2 Na 0.189 0.358 0.249
Na3 Na 0.497 0.635 0.254
Na4 Na 0.309 0.618 0.741
Na5 Na 0.817 0.633 0.745
Na6 Na 0.001 0.354 0.753
Na7 Na 0.183 0.016 0.755
Na8 Na 0.690 0.021 0.749
Na9 Na 0.163 0.351 0.588
Na10 Na 0.829 0.700 0.081
Na11 Na 0.483 0.654 0.918
Na12 Na 0.352 0.041 0.917
Na13 Na 0.854 0.040 0.921
Na14 Na 0.660 0.303 0.917
Na15 Na 0.981 0.308 0.417
Na16 Na 0.159 0.016 0.416
Na17 Na 0.354 0.668 0.422
Na18 Na 0.851 0.663 0.416
Na19 Na 0.995 0.974 0.498
Na20 Na 0.503 0.999 0.499
Na21 Na 0.008 0.020 0.998
Na22 Na 0.501 0.016 0.998
Na23 Na 0.328 0.329 0.835
Na24 Na 0.835 0.332 0.829
Na25 Na 0.334 0.335 0.329
Na26 Na 0.830 0.333 0.334
Na27 Na 0.164 0.672 0.162
Na28 Na 0.677 0.694 0.162
Na29 Na 0.175 0.666 0.661
Na30 Na 0.665 0.655 0.661
Hf1 Hf 0.997 0.004 0.650
Hf2 Hf 0.501 0.008 0.643
Hf3 Hf 0.000 0.000 0.146
Hf4 Hf 0.497 0.995 0.148
Hf5 Hf 0.160 0.670 0.313
Hf6 Hf 0.661 0.651 0.814
Mg1 Mg 0.001 0.985 0.349
Mg2 Mg 0.504 0.000 0.351
Mg3 Mg 0.006 0.015 0.850
Mg4 Mg 0.504 0.018 0.850
Mg5 Mg 0.332 0.342 0.680
Mg6 Mg 0.830 0.325 0.684
Mg7 Mg 0.330 0.334 0.184
Mg8 Mg 0.831 0.319 0.181
Mg9 Mg 0.331 0.330 0.982
Mg10 Mg 0.840 0.329 0.989
Mg11 Mg 0.343 0.349 0.488
Mg12 Mg 0.830 0.332 0.482
Mg13 Mg 0.164 0.663 0.016
Mg14 Mg 0.663 0.664 0.021
Mg15 Mg 0.168 0.679 0.520
Mg16 Mg 0.664 0.663 0.517
Mg17 Mg 0.671 0.668 0.317
Mg18 Mg 0.165 0.655 0.818
Si1 Si 0.149 0.007 0.252
Si2 Si 0.354 0.703 0.255
Si3 Si 0.152 0.298 0.751
Si4 Si 0.649 0.291 0.752
Si5 Si 0.853 0.004 0.755
Si6 Si 0.331 0.632 0.581
Si7 Si 0.829 0.032 0.081
Si8 Si 0.516 0.369 0.921
Si9 Si 0.016 0.664 0.421
S1 S 0.649 0.004 0.252
S2 S 0.850 0.699 0.250
S3 S 0.995 0.287 0.253
S4 S 0.505 0.297 0.251
S5 S 0.002 0.711 0.751
S6 S 0.498 0.710 0.752
S7 S 0.354 0.002 0.751
S8 S 0.481 0.341 0.583
S9 S 0.978 0.332 0.583
S10 S 0.187 0.038 0.583
S11 S 0.689 0.037 0.583
S12 S 0.832 0.626 0.583
S13 S 0.478 0.623 0.084
S14 S 0.981 0.623 0.084
S15 S 0.332 0.038 0.083
S16 S 0.188 0.340 0.083
S17 S 0.687 0.332 0.083
S18 S 0.312 0.665 0.917
S19 S 0.816 0.666 0.918
S20 S 0.019 0.375 0.917
S21 S 0.164 0.954 0.917
S22 S 0.666 0.961 0.917
S23 S 0.316 0.965 0.417
S24 S 0.811 0.957 0.417
S25 S 0.166 0.371 0.418
S26 S 0.664 0.372 0.417
S27 S 0.521 0.666 0.415
O1 O 0.111 0.046 0.311
O2 O 0.607 0.025 0.304
O3 O 0.412 0.793 0.313
O4 O 0.902 0.783 0.304
O5 O 0.491 0.187 0.302
O6 O 0.985 0.188 0.307
O7 O 0.105 0.163 0.804
O8 O 0.611 0.176 0.811
O9 O 0.484 0.785 0.806
O10 O 0.983 0.785 0.803
O11 O 0.403 0.020 0.806
O12 O 0.908 0.028 0.814
O13 O 0.396 0.970 0.699
O14 O 0.898 0.959 0.698
O15 O 0.089 0.206 0.690
O16 O 0.586 0.193 0.695
O17 O 0.017 0.822 0.697
O18 O 0.511 0.821 0.699
O19 O 0.402 0.839 0.197
O20 O 0.894 0.810 0.196
O21 O 0.009 0.202 0.200
O22 O 0.518 0.214 0.196
O23 O 0.087 0.981 0.195
O24 O 0.591 0.978 0.198
O25 O 0.439 0.355 0.637
O26 O 0.936 0.348 0.637
O27 O 0.236 0.121 0.638
O28 O 0.737 0.113 0.638
O29 O 0.317 0.516 0.640
O30 O 0.825 0.528 0.637
O31 O 0.436 0.523 0.138
O32 O 0.941 0.525 0.138
O33 O 0.325 0.121 0.138
O34 O 0.820 0.127 0.138
O35 O 0.237 0.361 0.139
O36 O 0.742 0.357 0.135
O37 O 0.229 0.311 0.031
O38 O 0.725 0.308 0.027
O39 O 0.426 0.550 0.030
O40 O 0.926 0.549 0.031
O41 O 0.344 0.141 0.029
O42 O 0.847 0.135 0.018
O43 O 0.227 0.144 0.530
O44 O 0.730 0.147 0.531
O45 O 0.346 0.551 0.520
O46 O 0.843 0.544 0.529
O47 O 0.429 0.310 0.530
O48 O 0.926 0.306 0.529
O49 O 0.271 0.696 0.968
O50 O 0.776 0.693 0.970
O51 O 0.072 0.465 0.968
O52 O 0.584 0.465 0.974
O53 O 0.156 0.848 0.969
O54 O 0.658 0.854 0.968
O55 O 0.275 0.852 0.468
O56 O 0.771 0.846 0.469
O57 O 0.157 0.458 0.470
O58 O 0.653 0.455 0.471
O59 O 0.084 0.704 0.474
O60 O 0.573 0.681 0.467
O61 O 0.063 0.632 0.362
O62 O 0.561 0.651 0.359
O63 O 0.261 0.881 0.362
O64 O 0.760 0.877 0.363
O65 O 0.181 0.480 0.363
O66 O 0.679 0.483 0.364
O67 O 0.059 0.470 0.861
O68 O 0.563 0.495 0.862
O69 O 0.179 0.878 0.861
O70 O 0.681 0.884 0.862
O71 O 0.264 0.647 0.861
O72 O 0.760 0.642 0.863
O73 O 0.004 0.834 0.413
O74 O 0.510 0.822 0.414
O75 O 0.403 0.986 0.410
O76 O 0.900 0.981 0.411
O77 O 0.084 0.202 0.412
O78 O 0.587 0.199 0.410
O79 O 0.009 0.198 0.915
O80 O 0.505 0.175 0.914
O81 O 0.086 0.970 0.912
O82 O 0.584 0.966 0.912
O83 O 0.402 0.820 0.912
O84 O 0.902 0.819 0.910
O85 O 0.492 0.183 0.589
O86 O 0.988 0.170 0.587
O87 O 0.098 0.027 0.588
O88 O 0.599 0.019 0.588
O89 O 0.419 0.826 0.590
O90 O 0.913 0.802 0.587
O91 O 0.489 0.804 0.091
O92 O 0.989 0.801 0.089
O93 O 0.414 0.024 0.088
O94 O 0.917 0.005 0.089
O95 O 0.099 0.181 0.089
O96 O 0.599 0.172 0.090
O97 O 0.345 0.156 0.743
O98 O 0.847 0.177 0.744
O99 O 0.248 0.318 0.745
O100 O 0.747 0.329 0.743
O101 O 0.425 0.535 0.744
O102 O 0.927 0.536 0.741
O103 O 0.348 0.518 0.244
O104 O 0.842 0.529 0.242
O105 O 0.425 0.310 0.242
O106 O 0.924 0.319 0.246
O107 O 0.247 0.166 0.243
O108 O 0.734 0.156 0.244
O109 O 0.322 0.511 0.924
O110 O 0.819 0.503 0.922
O111 O 0.421 0.352 0.924
O112 O 0.931 0.356 0.920
O113 O 0.243 0.129 0.923
O114 O 0.741 0.139 0.920
O115 O 0.319 0.133 0.422
O116 O 0.821 0.132 0.424
O117 O 0.241 0.342 0.420
O118 O 0.743 0.357 0.423
O119 O 0.432 0.509 0.418
O120 O 0.921 0.489 0.423
O121 O 0.177 0.492 0.076
O122 O 0.677 0.485 0.079
O123 O 0.069 0.647 0.077
O124 O 0.565 0.647 0.079
O125 O 0.257 0.862 0.078
O126 O 0.749 0.832 0.077
O127 O 0.175 0.865 0.580
O128 O 0.677 0.862 0.576
O129 O 0.243 0.646 0.577
O130 O 0.756 0.649 0.578
O131 O 0.066 0.480 0.578
O132 O 0.569 0.494 0.578
O133 O 0.158 0.831 0.255
O134 O 0.651 0.840 0.254
O135 O 0.256 0.678 0.257
O136 O 0.764 0.686 0.254
O137 O 0.081 0.457 0.256
O138 O 0.580 0.473 0.256
O139 O 0.157 0.487 0.754
O140 O 0.658 0.485 0.755
O141 O 0.082 0.699 0.757
O142 O 0.582 0.707 0.756
O143 O 0.265 0.846 0.755
O144 O 0.754 0.834 0.757
```

Values from the calculation:
As for the space group: P1. Its formation enthalpy at 0 K is -2516.6 meV per atom. Its crystal system is triclinic.



Record 2
Density functional theory data (GGA-PBE) for a relaxed Na2Hf6Mg2Si3S9O48 crystal.

The structure in CIF format:
```
data_Na2Hf6Mg2Si3S9O48
_symmetry_space_group_name_H-M 'P 1'
_symmetry_Int_Tables_number 1
_symmetry_space_group_name_Hall 'P 1'
_cell_length_a 17.800
_cell_length_b 8.883
_cell_length_c 23.007
_cell_angle_alpha 90.06
_cell_angle_beta 89.98
_cell_angle_gamma 119.97
loop_
_atom_site_label
_atom_site_type_symbol
_atom_site_fract_x
_atom_site_fract_y
_atom_site_fract_z
Na1 Na 0.002 0.995 0.496
Na2 Na 0.500 0.006 0.999
Na3 Na 0.331 0.328 0.837
Na4 Na 0.834 0.334 0.836
Na5 Na 0.329 0.328 0.333
Na6 Na 0.832 0.336 0.335
Hf1 Hf 0.509 0.009 0.354
Hf2 Hf 0.010 0.010 0.856
Hf3 Hf 0.502 0.001 0.642
Hf4 Hf 0.008 0.003 0.145
Hf5 Hf 0.326 0.327 0.687
Hf6 Hf 0.832 0.326 0.683
Hf7 Hf 0.326 0.331 0.187
Hf8 Hf 0.829 0.325 0.188
Hf9 Hf 0.329 0.323 0.978
Hf10 Hf 0.829 0.334 0.476
Hf11 Hf 0.165 0.670 0.024
Hf12 Hf 0.662 0.654 0.022
Hf13 Hf 0.162 0.668 0.518
Hf14 Hf 0.666 0.664 0.521
Hf15 Hf 0.160 0.670 0.310
Hf16 Hf 0.668 0.664 0.310
Hf17 Hf 0.167 0.668 0.811
Hf18 Hf 0.662 0.661 0.815
Mg1 Mg 0.006 0.994 0.353
Mg2 Mg 0.499 0.006 0.855
Mg3 Mg 0.003 0.008 0.650
Mg4 Mg 0.502 0.997 0.151
Mg5 Mg 0.834 0.334 0.984
Mg6 Mg 0.332 0.331 0.480
Si1 Si 0.144 0.002 0.253
Si2 Si 0.642 0.996 0.247
Si3 Si 0.142 0.289 0.747
Si4 Si 0.689 0.040 0.582
Si5 Si 0.188 0.335 0.082
Si6 Si 0.519 0.366 0.917
Si7 Si 0.167 0.954 0.917
Si8 Si 0.665 0.378 0.416
Si9 Si 0.019 0.674 0.416
S1 S 0.356 0.714 0.249
S2 S 0.857 0.714 0.250
S3 S 0.999 0.285 0.251
S4 S 0.500 0.287 0.249
S5 S 0.644 0.287 0.751
S6 S 0.999 0.712 0.749
S7 S 0.500 0.713 0.751
S8 S 0.357 0.000 0.751
S9 S 0.856 0.998 0.749
S10 S 0.476 0.334 0.582
S11 S 0.979 0.329 0.583
S12 S 0.187 0.044 0.581
S13 S 0.333 0.620 0.582
S14 S 0.836 0.629 0.584
S15 S 0.478 0.628 0.083
S16 S 0.975 0.619 0.082
S17 S 0.337 0.044 0.084
S18 S 0.834 0.045 0.082
S19 S 0.687 0.328 0.082
S20 S 0.313 0.671 0.917
S21 S 0.812 0.664 0.917
S22 S 0.020 0.378 0.917
S23 S 0.667 0.960 0.917
S24 S 0.312 0.959 0.417
S25 S 0.813 0.955 0.416
S26 S 0.167 0.375 0.417
S27 S 0.519 0.662 0.417
O1 O 0.104 0.041 0.307
O2 O 0.602 0.033 0.307
O3 O 0.410 0.791 0.303
O4 O 0.908 0.787 0.302
O5 O 0.484 0.179 0.302
O6 O 0.982 0.180 0.303
O7 O 0.102 0.171 0.806
O8 O 0.606 0.180 0.802
O9 O 0.485 0.790 0.802
O10 O 0.983 0.787 0.802
O11 O 0.410 0.030 0.802
O12 O 0.908 0.029 0.803
O13 O 0.397 0.974 0.697
O14 O 0.893 0.971 0.697
O15 O 0.086 0.202 0.692
O16 O 0.591 0.209 0.698
O17 O 0.012 0.814 0.697
O18 O 0.513 0.820 0.698
O19 O 0.393 0.817 0.198
O20 O 0.894 0.817 0.197
O21 O 0.011 0.207 0.197
O22 O 0.514 0.211 0.197
O23 O 0.085 0.968 0.193
O24 O 0.586 0.969 0.192
O25 O 0.437 0.361 0.636
O26 O 0.939 0.363 0.636
O27 O 0.243 0.126 0.635
O28 O 0.748 0.135 0.640
O29 O 0.320 0.513 0.636
O30 O 0.821 0.515 0.636
O31 O 0.441 0.517 0.135
O32 O 0.937 0.512 0.135
O33 O 0.321 0.125 0.135
O34 O 0.819 0.127 0.135
O35 O 0.250 0.367 0.139
O36 O 0.744 0.362 0.135
O37 O 0.235 0.304 0.027
O38 O 0.729 0.305 0.031
O39 O 0.425 0.543 0.031
O40 O 0.923 0.541 0.031
O41 O 0.350 0.153 0.031
O42 O 0.847 0.154 0.031
O43 O 0.230 0.154 0.531
O44 O 0.735 0.167 0.528
O45 O 0.349 0.543 0.532
O46 O 0.850 0.546 0.532
O47 O 0.423 0.303 0.531
O48 O 0.924 0.306 0.532
O49 O 0.271 0.695 0.969
O50 O 0.771 0.694 0.969
O51 O 0.075 0.455 0.969
O52 O 0.584 0.473 0.972
O53 O 0.153 0.834 0.973
O54 O 0.655 0.849 0.969
O55 O 0.271 0.848 0.470
O56 O 0.771 0.847 0.469
O57 O 0.156 0.464 0.470
O58 O 0.653 0.470 0.474
O59 O 0.082 0.695 0.473
O60 O 0.575 0.695 0.469
O61 O 0.067 0.633 0.362
O62 O 0.561 0.636 0.365
O63 O 0.257 0.875 0.365
O64 O 0.757 0.877 0.365
O65 O 0.183 0.486 0.365
O66 O 0.682 0.500 0.360
O67 O 0.061 0.486 0.865
O68 O 0.569 0.499 0.860
O69 O 0.182 0.864 0.860
O70 O 0.682 0.877 0.864
O71 O 0.258 0.638 0.864
O72 O 0.756 0.638 0.864
O73 O 0.009 0.841 0.413
O74 O 0.510 0.817 0.409
O75 O 0.397 0.973 0.409
O76 O 0.899 0.976 0.409
O77 O 0.088 0.207 0.412
O78 O 0.580 0.189 0.408
O79 O 0.010 0.203 0.908
O80 O 0.513 0.182 0.910
O81 O 0.080 0.971 0.908
O82 O 0.589 0.971 0.909
O83 O 0.399 0.822 0.909
O84 O 0.896 0.820 0.907
O85 O 0.487 0.178 0.593
O86 O 0.987 0.175 0.590
O87 O 0.101 0.021 0.590
O88 O 0.594 0.023 0.596
O89 O 0.410 0.795 0.594
O90 O 0.912 0.800 0.592
O91 O 0.488 0.800 0.089
O92 O 0.985 0.793 0.091
O93 O 0.412 0.024 0.091
O94 O 0.909 0.023 0.093
O95 O 0.093 0.167 0.093
O96 O 0.600 0.181 0.090
O97 O 0.347 0.158 0.741
O98 O 0.846 0.160 0.743
O99 O 0.242 0.313 0.742
O100 O 0.734 0.313 0.742
O101 O 0.424 0.535 0.741
O102 O 0.921 0.532 0.743
O103 O 0.349 0.537 0.244
O104 O 0.846 0.535 0.241
O105 O 0.423 0.312 0.243
O106 O 0.923 0.313 0.241
O107 O 0.243 0.168 0.242
O108 O 0.742 0.172 0.242
O109 O 0.321 0.513 0.923
O110 O 0.820 0.508 0.924
O111 O 0.428 0.364 0.924
O112 O 0.933 0.359 0.924
O113 O 0.252 0.147 0.922
O114 O 0.746 0.132 0.923
O115 O 0.321 0.132 0.425
O116 O 0.820 0.128 0.424
O117 O 0.246 0.359 0.425
O118 O 0.751 0.356 0.423
O119 O 0.434 0.508 0.425
O120 O 0.928 0.492 0.426
O121 O 0.178 0.504 0.072
O122 O 0.682 0.492 0.075
O123 O 0.063 0.640 0.076
O124 O 0.566 0.646 0.074
O125 O 0.257 0.872 0.075
O126 O 0.755 0.871 0.074
O127 O 0.182 0.871 0.576
O128 O 0.677 0.850 0.574
O129 O 0.257 0.642 0.575
O130 O 0.757 0.641 0.576
O131 O 0.066 0.488 0.576
O132 O 0.564 0.486 0.576
O133 O 0.158 0.834 0.258
O134 O 0.658 0.835 0.262
O135 O 0.268 0.686 0.260
O136 O 0.768 0.689 0.257
O137 O 0.077 0.459 0.257
O138 O 0.577 0.462 0.259
O139 O 0.158 0.482 0.762
O140 O 0.656 0.465 0.758
O141 O 0.076 0.689 0.759
O142 O 0.578 0.695 0.758
O143 O 0.269 0.847 0.757
O144 O 0.767 0.847 0.759
```

Values from the calculation:
As for the space group: P1. Its formation enthalpy at 0 K is -2706.2 meV per atom. Its crystal system is triclinic.



| no. | density (g cm⁻³) |
| --- | --- |
| 1 | 2.98 |
| 2 | 3.65 |